(1)
Entry from the Materials Project: crystalline Cs3ErO3 at its relaxed geometry (r²SCAN).

abc: 7.4844 7.4844 7.5667
angles: 96.07 96.07 115.98
Last column: nearest neighbours and their distance in Å.
Fractional positions:
Cs  0.2091  0.7909  0.0000  2 O 2.91
Cs  0.2621  0.7379  0.5000  4 O 3.10-3.22
Cs  0.3577  0.3577  0.1488  1 O 2.82
Cs  0.6423  0.6423  0.8512  1 O 2.82
Cs  0.7379  0.2621  0.5000  4 O 3.10-3.22
Cs  0.7909  0.2091  0.0000  2 O 2.91
Er  0.1715  0.1715  0.6500  4 O 2.09-2.16
Er  0.8285  0.8285  0.3500  4 O 2.09-2.16
O  0.1008  0.1008  0.3588  2 Er 2.15-2.16
O  0.1637  0.4336  0.7658  1 Er 2.09
O  0.4336  0.1637  0.7658  1 Er 2.09
O  0.5664  0.8363  0.2342  1 Er 2.09
O  0.8363  0.5664  0.2342  1 Er 2.09
O  0.8992  0.8992  0.6412  2 Er 2.15-2.16

Output
ΔE to the lowest computed polymorph (meV/atom): 10.7


(2)
Entry from the Materials Project: crystalline BeFe2Si at its relaxed geometry (r²SCAN).

abc: 5.3456 5.3456 5.3456
angles: 90.00 90.00 90.00
Last column: nearest neighbours and their distance in Å.
Fractional positions:
Be  0.0000  0.0000  0.0000  8 Fe 2.31
Be  0.0000  0.5000  0.5000  8 Fe 2.31
Be  0.5000  0.0000  0.5000  8 Fe 2.31
Be  0.5000  0.5000  0.0000  8 Fe 2.31
Fe  0.2500  0.2500  0.2500  4 Be 2.31, 4 Si 2.31
Fe  0.2500  0.2500  0.7500  4 Be 2.31, 4 Si 2.31
Fe  0.2500  0.7500  0.2500  4 Be 2.31, 4 Si 2.31
Fe  0.2500  0.7500  0.7500  4 Be 2.31, 4 Si 2.31
Fe  0.7500  0.2500  0.2500  4 Be 2.31, 4 Si 2.31
Fe  0.7500  0.2500  0.7500  4 Be 2.31, 4 Si 2.31
Fe  0.7500  0.7500  0.2500  4 Be 2.31, 4 Si 2.31
Fe  0.7500  0.7500  0.7500  4 Be 2.31, 4 Si 2.31
Si  0.0000  0.0000  0.5000  8 Fe 2.31
Si  0.0000  0.5000  0.0000  8 Fe 2.31
Si  0.5000  0.0000  0.0000  8 Fe 2.31
Si  0.5000  0.5000  0.5000  8 Fe 2.31


(3)
Entry from the Materials Project: crystalline LiEr2In at its relaxed geometry (r²SCAN).

abc: 7.3575 7.3575 7.3575
angles: 90.00 90.00 90.00
Last column: nearest neighbours and their distance in Å.
Fractional positions:
Li  0.0000  0.0000  0.0000  8 Er 3.19
Li  0.0000  0.5000  0.5000  8 Er 3.19
Li  0.5000  0.0000  0.5000  8 Er 3.19
Li  0.5000  0.5000  0.0000  8 Er 3.19
Er  0.2500  0.2500  0.2500  4 In 3.19, 4 Li 3.19
Er  0.2500  0.2500  0.7500  4 In 3.19, 4 Li 3.19
Er  0.2500  0.7500  0.2500  4 In 3.19, 4 Li 3.19
Er  0.2500  0.7500  0.7500  4 In 3.19, 4 Li 3.19
Er  0.7500  0.2500  0.2500  4 In 3.19, 4 Li 3.19
Er  0.7500  0.2500  0.7500  4 In 3.19, 4 Li 3.19
Er  0.7500  0.7500  0.2500  4 In 3.19, 4 Li 3.19
Er  0.7500  0.7500  0.7500  4 In 3.19, 4 Li 3.19
In  0.0000  0.0000  0.5000  8 Er 3.19
In  0.0000  0.5000  0.0000  8 Er 3.19
In  0.5000  0.0000  0.0000  8 Er 3.19
In  0.5000  0.5000  0.5000  8 Er 3.19


(4)
Entry from the Materials Project: crystalline Eu3In at its relaxed geometry (r²SCAN).

abc: 7.3917 7.3917 5.7258
angles: 90.00 90.00 120.00
Last column: nearest neighbours and their distance in Å.
Fractional positions:
Eu  0.1754  0.3508  0.2500  8 Eu 3.50-3.89, 4 In 3.50-3.70
Eu  0.1754  0.8246  0.2500  8 Eu 3.50-3.89, 4 In 3.50-3.70
Eu  0.3508  0.1754  0.7500  8 Eu 3.50-3.89, 4 In 3.50-3.70
Eu  0.6492  0.8246  0.2500  8 Eu 3.50-3.89, 4 In 3.50-3.70
Eu  0.8246  0.1754  0.7500  8 Eu 3.50-3.89, 4 In 3.50-3.70
Eu  0.8246  0.6492  0.7500  8 Eu 3.50-3.89, 4 In 3.50-3.70
In  0.3333  0.6667  0.7500  12 Eu 3.50-3.70
In  0.6667  0.3333  0.2500  12 Eu 3.50-3.70


(5)
Entry from the Materials Project: crystalline Ti5CuSb2 at its relaxed geometry (r²SCAN).

abc: 7.7951 7.7951 7.7951
angles: 96.19 96.19 141.65
Last column: nearest neighbours and their distance in Å.
Fractional positions:
Ti  0.0741  0.7860  0.8602  2 Cu 2.68, 2 Sb 2.78-2.79, 2 Ti 2.99
Ti  0.2140  0.0741  0.2881  2 Cu 2.68, 2 Sb 2.78-2.79, 2 Ti 2.99
Ti  0.2500  0.7500  0.5000  2 Ti 2.56, 4 Sb 2.73
Ti  0.2860  0.5741  0.8602  2 Cu 2.68, 2 Sb 2.78-2.79, 2 Ti 2.99
Ti  0.4259  0.2860  0.7119  2 Cu 2.68, 2 Sb 2.78-2.79, 2 Ti 2.99
Ti  0.5741  0.7140  0.2881  2 Cu 2.68, 2 Sb 2.78-2.79, 2 Ti 2.99
Ti  0.7140  0.4259  0.1398  2 Cu 2.68, 2 Sb 2.78-2.79, 2 Ti 2.99
Ti  0.7500  0.2500  0.5000  2 Ti 2.56, 4 Sb 2.73
Ti  0.7860  0.9259  0.7119  2 Cu 2.68, 2 Sb 2.78-2.79, 2 Ti 2.99
Ti  0.9259  0.2140  0.1398  2 Cu 2.68, 2 Sb 2.78-2.79, 2 Ti 2.99
Cu  0.2500  0.2500  0.0000  2 Cu 2.56, 8 Ti 2.68
Cu  0.7500  0.7500  0.0000  2 Cu 2.56, 8 Ti 2.68
Sb  0.1639  0.3361  0.5000  10 Ti 2.73-3.01
Sb  0.3361  0.8361  0.1722  10 Ti 2.73-3.01
Sb  0.6639  0.1639  0.8278  10 Ti 2.73-3.01
Sb  0.8361  0.6639  0.5000  10 Ti 2.73-3.01


(6)
Entry from the Materials Project: crystalline URh2O6 at its relaxed geometry (r²SCAN).

abc: 4.7650 4.7650 9.3669
angles: 90.00 90.00 90.00
Last column: nearest neighbours and their distance in Å.
Fractional positions:
U  0.0000  0.0000  0.0000  6 O 2.08-2.11
U  0.5000  0.5000  0.5000  6 O 2.08-2.11
Rh  0.0000  0.0000  0.3304  6 O 2.01-2.04
Rh  0.0000  0.0000  0.6696  6 O 2.01-2.04
Rh  0.5000  0.5000  0.1696  6 O 2.01-2.04
Rh  0.5000  0.5000  0.8304  6 O 2.01-2.04
O  0.1874  0.1874  0.5000  2 Rh 2.03, 1 U 2.11
O  0.2015  0.2015  0.1676  2 Rh 2.01-2.04, 1 U 2.08
O  0.2015  0.2015  0.8324  2 Rh 2.01-2.04, 1 U 2.08
O  0.2985  0.7015  0.3324  2 Rh 2.01-2.04, 1 U 2.08
O  0.2985  0.7015  0.6676  2 Rh 2.01-2.04, 1 U 2.08
O  0.3126  0.6874  0.0000  2 Rh 2.03, 1 U 2.11
O  0.6874  0.3126  0.0000  2 Rh 2.03, 1 U 2.11
O  0.7015  0.2985  0.3324  2 Rh 2.01-2.04, 1 U 2.08
O  0.7015  0.2985  0.6676  2 Rh 2.01-2.04, 1 U 2.08
O  0.7985  0.7985  0.1676  2 Rh 2.01-2.04, 1 U 2.08
O  0.7985  0.7985  0.8324  2 Rh 2.01-2.04, 1 U 2.08
O  0.8126  0.8126  0.5000  2 Rh 2.03, 1 U 2.11


no.,DFT formation energy (eV/atom),total DFT energy (no corrections) (eV/atom)
1,-2.140,-20.307
2,-0.159,-10.644
3,-0.337,-23.541
4,-0.352,-34.887
5,-0.431,-16.299
6,-2.027,-20.255